VASP calculation (r²SCAN) on crystalline MnCd4S5 at its relaxed geometry.

abc: 10.9272 10.9272 6.7073
angles: 90.00 90.00 141.80
Sites, in units of the cell vectors:
S: 0.7342 0.5320 0.9967
Mn: 0.9320 0.3343 0.3770
Cd: 0.0704 0.8671 0.8745
S: 0.6621 0.2527 0.4927
Cd: 0.2626 0.6658 0.8737
Cd: 0.8671 0.0704 0.8745
S: 0.0788 0.8698 0.4939
S: 0.5320 0.7342 0.9967
S: 0.4715 0.4715 0.4961
S: 0.8698 0.0788 0.4939
S: 0.2527 0.6621 0.4927
Cd: 0.7365 0.5302 0.3774
S: 0.1314 0.1314 0.9971
Mn: 0.3343 0.9320 0.3770
Cd: 0.5302 0.7365 0.3774
Cd: 0.4674 0.4674 0.8760
S: 0.3346 0.9338 0.0157
S: 0.9338 0.3346 0.0157
Cd: 0.6658 0.2626 0.8737
Cd: 0.1324 0.1324 0.3776

Properties
space-group type: Cm (8)

VASP calculation (r²SCAN) on crystalline Mg2Tl at its relaxed geometry.

abc: 8.0550 8.0550 3.6983
angles: 90.00 90.00 120.00
Sites, in units of the cell vectors:
Mg: 0.0000 0.2790 0.0000
Tl: 0.6667 0.3333 0.0000
Mg: 0.7210 0.7210 0.0000
Mg: 0.0000 0.6214 0.5000
Tl: 0.3333 0.6667 0.0000
Mg: 0.3786 0.3786 0.5000
Mg: 0.6214 0.0000 0.5000
Tl: 0.0000 0.0000 0.5000
Mg: 0.2790 0.0000 0.0000

Properties
space-group type: P-62m (189)

VASP calculation (r²SCAN) on crystalline NaNbO3 at its relaxed geometry.

abc: 5.3804 5.3804 6.0255
angles: 63.48 63.48 60.00
Sites, in units of the cell vectors:
O: 0.5611 0.9686 0.2800
O: 0.9686 0.1903 0.2800
Nb: 0.8525 0.8525 0.4424
O: 0.0314 0.8097 0.7200
O: 0.8097 0.4389 0.7200
Na: 0.6424 0.6424 0.0727
O: 0.1903 0.5611 0.2800
O: 0.4389 0.0314 0.7200
Nb: 0.1475 0.1475 0.5576
Na: 0.3576 0.3576 0.9273

Properties
space-group type: R-3 (148)

VASP calculation (r²SCAN) on crystalline Li2CuSn at its relaxed geometry.

abc: 4.4117 4.4117 4.4117
angles: 60.00 60.00 60.00
Sites, in units of the cell vectors:
Li: 0.5000 0.5000 0.5000
Sn: 0.0000 0.0000 0.0000
Li: 0.2500 0.2500 0.2500
Cu: 0.7500 0.7500 0.7500

Properties
space-group type: F-43m (216)

Which ΔH_f (0 K) belongs to each record? In order, -0.847, -0.052, -2.640, -0.349 eV per atom.